# 1
Entry from the Materials Project: S after structural relaxation (r²SCAN).

Computed properties:
As for the crystal system: monoclinic. The formation energy is 0.00 eV/atom. The calculation puts the volume at 28.1 Å³/atom. As for the magnetization: 0.000 μB/f.u.

a = 8.4292 Å, b = 8.6013 Å, c = 13.3806 Å
α = 90.00°, β = 90.00°, γ = 112.05°
Last column: nearest neighbours and their distance in Å.
Atoms (fractional coordinates):
1 S 0.1749 0.3204 0.8768  2 S 2.05
2 S 0.6557 0.9599 0.8932  2 S 2.05
3 S 0.3808 0.7982 0.3222  2 S 2.04-2.05
4 S 0.8808 0.2982 0.6778  2 S 2.04-2.05
5 S 0.8252 0.1796 0.3514  2 S 2.05-2.06
6 S 0.3251 0.1796 0.8768  2 S 2.05
7 S 0.9690 0.1632 0.5812  2 S 2.05
8 S 0.7015 0.6214 0.7975  2 S 2.05
9 S 0.7985 0.8786 0.7975  2 S 2.05
10 S 0.5267 0.7863 0.5528  2 S 2.05
11 S 0.8443 0.5401 0.8932  2 S 2.05
12 S 0.3252 0.6796 0.6486  2 S 2.05-2.06
13 S 0.2985 0.3786 0.2025  2 S 2.05
14 S 0.2788 0.5195 0.9721  2 S 2.05
15 S 0.9733 0.7137 0.5528  2 S 2.05
16 S 0.0267 0.2863 0.4472  2 S 2.05
17 S 0.2015 0.1214 0.2025  2 S 2.05
18 S 0.2212 0.9805 0.9721  2 S 2.05
19 S 0.6748 0.3204 0.3514  2 S 2.05-2.06
20 S 0.8251 0.6796 0.1232  2 S 2.05
21 S 0.7212 0.4805 0.0279  2 S 2.05
22 S 0.1192 0.7018 0.3222  2 S 2.04-2.05
23 S 0.7788 0.0195 0.0279  2 S 2.05
24 S 0.0310 0.8368 0.4188  2 S 2.05
25 S 0.6192 0.2018 0.6778  2 S 2.04-2.05
26 S 0.6749 0.8204 0.1232  2 S 2.05
27 S 0.1748 0.8204 0.6486  2 S 2.05-2.06
28 S 0.3443 0.0401 0.1068  2 S 2.05
29 S 0.5310 0.3368 0.5812  2 S 2.05
30 S 0.4690 0.6632 0.4188  2 S 2.05
31 S 0.4733 0.2137 0.4472  2 S 2.05
32 S 0.1557 0.4599 0.1068  2 S 2.05

=====

# 2
Entry from the Materials Project: S after structural relaxation (r²SCAN).

Computed properties:
As for the crystal system: trigonal. The formation energy is 0.03 eV/atom. The calculation puts the volume at 25.9 Å³/atom. As for the magnetization: 0.000 μB/f.u.

a = 7.8484 Å, b = 7.8484 Å, c = 4.3718 Å
α = 90.00°, β = 90.00°, γ = 120.00°
Last column: nearest neighbours and their distance in Å.
Atoms (fractional coordinates):
1 S 0.6898 0.4497 0.2664  2 S 2.06
2 S 0.0000 0.8925 0.8333  2 S 2.06
3 S 0.1075 0.1075 0.5000  2 S 2.06
4 S 0.4497 0.6898 0.7336  2 S 2.06
5 S 0.5503 0.2401 0.9331  2 S 2.06
6 S 0.7599 0.3102 0.5997  2 S 2.06
7 S 0.8925 0.0000 0.1667  2 S 2.06
8 S 0.3102 0.7599 0.4003  2 S 2.06
9 S 0.2401 0.5503 0.0669  2 S 2.06

=====

# 3
Entry from the Materials Project: USbS after structural relaxation (r²SCAN).

Computed properties:
As for the crystal system: tetragonal. The formation energy is -1.29 eV/atom. The calculation puts the volume at 24.6 Å³/atom. As for the magnetization: 2.814 μB/f.u.

a = 4.1276 Å, b = 4.1276 Å, c = 8.6745 Å
α = 90.00°, β = 90.00°, γ = 90.00°
Last column: nearest neighbours and their distance in Å.
Atoms (fractional coordinates):
1 S 0.5000 0.0000 0.6277  5 U 2.83-2.98
2 S 0.0000 0.5000 0.3723  5 U 2.83-2.98
3 Sb 0.0000 0.0000 0.0000  4 Sb 2.92
4 Sb 0.5000 0.5000 0.0000  4 Sb 2.92
5 U 0.5000 0.0000 0.3014  5 S 2.83-2.98
6 U 0.0000 0.5000 0.6986  5 S 2.83-2.98

=====

# 4
Entry from the Materials Project: Zr5Sb3S after structural relaxation (r²SCAN).

Computed properties:
As for the crystal system: hexagonal. The formation energy is -1.06 eV/atom. The calculation puts the volume at 21.0 Å³/atom. As for the magnetization: 0.000 μB/f.u.

a = 8.4561 Å, b = 8.4561 Å, c = 6.1007 Å
α = 90.00°, β = 90.00°, γ = 120.00°
Last column: nearest neighbours and their distance in Å.
Atoms (fractional coordinates):
1 Zr 0.0000 0.2499 0.7500  2 S 2.61
2 Sb 0.0000 0.3985 0.2500  9 Zr 2.95-3.30
3 S 0.0000 0.0000 0.0000  6 Zr 2.61
4 Sb 0.3985 0.0000 0.2500  9 Zr 2.95-3.30
5 Zr 0.6667 0.3333 0.5000  6 Sb 3.00, 2 Zr 3.05
6 Zr 0.7501 0.7501 0.7500  2 S 2.61
7 Sb 0.6015 0.0000 0.7500  9 Zr 2.95-3.30
8 Zr 0.6667 0.3333 0.0000  6 Sb 3.00, 2 Zr 3.05
9 Zr 0.7501 0.0000 0.2500  2 S 2.61
10 Sb 0.3985 0.3985 0.7500  9 Zr 2.95-3.30
11 S 0.0000 0.0000 0.5000  6 Zr 2.61
12 Zr 0.2499 0.0000 0.7500  2 S 2.61
13 Zr 0.0000 0.7501 0.2500  2 S 2.61
14 Sb 0.6015 0.6015 0.2500  9 Zr 2.95-3.30
15 Zr 0.2499 0.2499 0.2500  2 S 2.61
16 Sb 0.0000 0.6015 0.7500  9 Zr 2.95-3.30
17 Zr 0.3333 0.6667 0.5000  6 Sb 3.00, 2 Zr 3.05
18 Zr 0.3333 0.6667 0.0000  6 Sb 3.00, 2 Zr 3.05